{
  "formula": "Ta3Be2",
  "functional": "r2SCAN",
  "state": "optimized geometry",
  "lattice_angstrom": [[-2.6070, 0.5612, 1.9923], [-2.0486, -6.1052, -0.9611], [3.4920, -1.9788, 5.1269]],
  "species": ["Be", "Be", "Be", "Be", "Ta", "Ta", "Ta", "Ta", "Ta", "Ta"],
  "frac_coords": [[0.0000, 0.3866, 0.8866], [0.0000, 0.1134, 0.3866], [0.0000, 0.6134, 0.1134], [0.0000, 0.8866, 0.6134], [0.0000, 0.5000, 0.5000], [0.5000, 0.3211, 0.1789], [0.5000, 0.1789, 0.6789], [0.5000, 0.6789, 0.8211], [0.0000, 0.0000, 0.0000], [0.5000, 0.8211, 0.3211]],
  "energy_ev_per_cell": -310.9,
  "delta_e_f_ev_per_atom": -0.196,
  "magnetic_moment_mub_per_cell": 0.000
}

{
  "formula": "TbBe13",
  "functional": "r2SCAN",
  "state": "optimized geometry",
  "lattice_angstrom": [[6.2548, -0.0001, 3.6112], [2.0849, 5.8971, 3.6112], [0.0000, 0.0000, 7.2223]],
  "species": ["Be", "Be", "Be", "Be", "Be", "Be", "Be", "Be", "Be", "Be", "Be", "Be", "Be", "Be", "Be", "Be", "Be", "Be", "Be", "Be", "Be", "Be", "Be", "Be", "Be", "Be", "Tb", "Tb"],
  "frac_coords": [[0.2103, 0.4374, 0.7897], [0.0626, 0.9374, 0.2897], [0.4374, 0.5626, 0.7897], [0.7103, 0.0626, 0.2897], [0.2897, 0.9374, 0.7103], [0.7897, 0.4374, 0.5626], [0.2897, 0.7103, 0.0626], [0.5626, 0.2103, 0.7897], [0.0626, 0.7103, 0.9374], [0.7897, 0.2103, 0.4374], [0.4374, 0.2103, 0.5626], [0.5626, 0.4374, 0.2103], [0.7103, 0.9374, 0.0626], [0.4374, 0.7897, 0.2103], [0.9374, 0.2897, 0.0626], [0.2103, 0.7897, 0.5626], [0.9374, 0.0626, 0.7103], [0.5626, 0.7897, 0.4374], [0.0000, 0.0000, 0.0000], [0.5000, 0.5000, 0.5000], [0.0626, 0.2897, 0.7103], [0.2897, 0.0626, 0.9374], [0.7103, 0.2897, 0.9374], [0.2103, 0.5626, 0.4374], [0.9374, 0.7103, 0.2897], [0.7897, 0.5626, 0.2103], [0.7500, 0.7500, 0.7500], [0.2500, 0.2500, 0.2500]],
  "energy_ev_per_cell": -180.9,
  "delta_e_f_ev_per_atom": -0.202,
  "magnetic_moment_mub_per_cell": 0.000
}

{
  "formula": "TiBe3",
  "functional": "r2SCAN",
  "state": "optimized geometry",
  "lattice_angstrom": [[-2.2433, -3.8856, 0.0000], [2.2433, -3.8856, 0.0000], [0.0000, -2.5904, 7.0589]],
  "species": ["Be", "Be", "Be", "Be", "Be", "Be", "Be", "Be", "Be", "Ti", "Ti", "Ti"],
  "frac_coords": [[0.5821, 0.0793, 0.7565], [0.0793, 0.5821, 0.7565], [0.5000, 0.5000, 0.5000], [0.5821, 0.5821, 0.7565], [0.4179, 0.4179, 0.2435], [0.9207, 0.4179, 0.2435], [0.6662, 0.6662, 0.0013], [0.3338, 0.3338, 0.9987], [0.4179, 0.9207, 0.2435], [0.1423, 0.1423, 0.5732], [0.0000, 0.0000, 0.0000], [0.8577, 0.8577, 0.4268]],
  "energy_ev_per_cell": -80.7,
  "delta_e_f_ev_per_atom": -0.235,
  "magnetic_moment_mub_per_cell": 2.828
}

{
  "formula": "Be2W",
  "functional": "r2SCAN",
  "state": "optimized geometry",
  "lattice_angstrom": [[-2.3429, -2.8602, 2.4657], [3.9684, 1.4182, 1.4109], [-3.2180, 5.5926, 3.4296]],
  "species": ["Be", "Be", "Be", "Be", "Be", "Be", "Be", "Be", "W", "W", "W", "W"],
  "frac_coords": [[0.1701, 0.3402, 0.7500], [0.0000, 0.0000, 0.5000], [0.8299, 0.6598, 0.2500], [0.3402, 0.1701, 0.2500], [0.8299, 0.1701, 0.2500], [0.1701, 0.8299, 0.7500], [0.6598, 0.8299, 0.7500], [0.0000, 0.0000, 0.0000], [0.6667, 0.3333, 0.9367], [0.6667, 0.3333, 0.5633], [0.3333, 0.6667, 0.0633], [0.3333, 0.6667, 0.4367]],
  "energy_ev_per_cell": -243.9,
  "delta_e_f_ev_per_atom": -0.313,
  "magnetic_moment_mub_per_cell": 0.000
}

{
  "formula": "Be22W",
  "functional": "r2SCAN",
  "state": "optimized geometry",
  "lattice_angstrom": [[7.0854, 0.0000, 4.0907], [2.3618, 6.6802, 4.0907], [0.0000, 0.0000, 8.1814]],
  "species": ["Be", "Be", "Be", "Be", "Be", "Be", "Be", "Be", "Be", "Be", "Be", "Be", "Be", "Be", "Be", "Be", "Be", "Be", "Be", "Be", "Be", "Be", "Be", "Be", "Be", "Be", "Be", "Be", "Be", "Be", "Be", "Be", "Be", "Be", "Be", "Be", "Be", "Be", "Be", "Be", "Be", "Be", "Be", "Be", "W", "W"],
  "frac_coords": [[0.5000, 0.0000, 0.0000], [0.1763, 0.4434, 0.7041], [0.4434, 0.7041, 0.1763], [0.0000, 0.0000, 0.0000], [0.8237, 0.8237, 0.2959], [0.0000, 0.5000, 0.0000], [0.5566, 0.8237, 0.8237], [0.5000, 0.0000, 0.5000], [0.7404, 0.7404, 0.0096], [0.9904, 0.2596, 0.9904], [0.7040, 0.1763, 0.4434], [0.5566, 0.8237, 0.2959], [0.1763, 0.7040, 0.4434], [0.2959, 0.5566, 0.8237], [0.8237, 0.2960, 0.5566], [0.8237, 0.5566, 0.8237], [0.0000, 0.0000, 0.5000], [0.2596, 0.9904, 0.2596], [0.7041, 0.4434, 0.1763], [0.7404, 0.0096, 0.0096], [0.4434, 0.1763, 0.7041], [0.8237, 0.2960, 0.8237], [0.1763, 0.7040, 0.1763], [0.5566, 0.2959, 0.8237], [0.1763, 0.1763, 0.7041], [0.8237, 0.8237, 0.5566], [0.2960, 0.8237, 0.5566], [0.1763, 0.4434, 0.1763], [0.5000, 0.5000, 0.0000], [0.2960, 0.8237, 0.8237], [0.4434, 0.1763, 0.1763], [0.2596, 0.9904, 0.9904], [0.0096, 0.7404, 0.7404], [0.9904, 0.2596, 0.2596], [0.0000, 0.5000, 0.5000], [0.1763, 0.1763, 0.4434], [0.0096, 0.7404, 0.0096], [0.5000, 0.5000, 0.5000], [0.7040, 0.1763, 0.1763], [0.7404, 0.0096, 0.7404], [0.2596, 0.2596, 0.9904], [0.9904, 0.9904, 0.2596], [0.8237, 0.5566, 0.2959], [0.0096, 0.0096, 0.7404], [0.3750, 0.3750, 0.3750], [0.6250, 0.6250, 0.6250]],
  "energy_ev_per_cell": -295.5,
  "delta_e_f_ev_per_atom": -0.042,
  "magnetic_moment_mub_per_cell": 0.000
}

{
  "formula": "ZrBe5",
  "functional": "r2SCAN",
  "state": "optimized geometry",
  "lattice_angstrom": [[4.5670, 0.0000, 0.0000], [-2.2835, 3.9551, 0.0000], [0.0000, 0.0000, 3.4630]],
  "species": ["Be", "Be", "Be", "Be", "Be", "Zr"],
  "frac_coords": [[0.0000, 0.5000, 0.5000], [0.3333, 0.6667, 0.0000], [0.6667, 0.3333, 0.0000], [0.5000, 0.5000, 0.5000], [0.5000, 0.0000, 0.5000], [0.0000, 0.0000, 0.0000]],
  "energy_ev_per_cell": -46.0,
  "delta_e_f_ev_per_atom": -0.263,
  "magnetic_moment_mub_per_cell": 0.000
}

{
  "formula": "Zr2Be17",
  "functional": "r2SCAN",
  "state": "optimized geometry",
  "lattice_angstrom": [[5.6383, 0.0048, 0.6959], [0.6158, 5.6046, 0.6959], [0.0054, 0.0048, 5.6811]],
  "species": ["Be", "Be", "Be", "Be", "Be", "Be", "Be", "Be", "Be", "Be", "Be", "Be", "Be", "Be", "Be", "Be", "Be", "Zr", "Zr"],
  "frac_coords": [[0.5000, 0.2133, 0.7867], [0.5000, 0.7867, 0.2133], [0.1568, 0.6601, 0.1568], [0.1568, 0.1568, 0.6601], [0.7867, 0.2133, 0.5000], [0.0000, 0.5000, 0.5000], [0.8432, 0.8432, 0.3399], [0.5000, 0.5000, 0.0000], [0.6601, 0.1568, 0.1568], [0.2133, 0.7867, 0.5000], [0.3399, 0.8432, 0.8432], [0.5000, 0.0000, 0.5000], [0.7867, 0.5000, 0.2133], [0.5969, 0.5969, 0.5969], [0.8432, 0.3399, 0.8432], [0.4031, 0.4031, 0.4031], [0.2133, 0.5000, 0.7867], [0.1624, 0.1624, 0.1624], [0.8376, 0.8376, 0.8376]],
  "energy_ev_per_cell": -124.1,
  "delta_e_f_ev_per_atom": -0.255,
  "magnetic_moment_mub_per_cell": 0.000
}

{
  "formula": "ZrBe2",
  "functional": "r2SCAN",
  "state": "optimized geometry",
  "lattice_angstrom": [[3.8234, 0.0000, 0.0000], [-1.9117, 3.3111, 0.0000], [0.0000, 0.0000, 3.2421]],
  "species": ["Be", "Be", "Zr"],
  "frac_coords": [[0.6667, 0.3333, 0.5000], [0.3333, 0.6667, 0.5000], [0.0000, 0.0000, 0.0000]],
  "energy_ev_per_cell": -32.0,
  "delta_e_f_ev_per_atom": -0.190,
  "magnetic_moment_mub_per_cell": 0.000
}